Density functional theory data (GGA-PBE) for HoAlGa after structural relaxation.

```
3
Lattice="4.447 0.000 0.000 -2.223 3.851 0.000 0.000 0.000 3.550" Properties=species:S:1:pos:R:3 pbc="T T T"
Ho 0.000 0.000 0.000
Al 0.000 2.567 1.775
Ga 2.223 1.284 1.775
```

Properties
E_form = -0.56 eV per atom
DFT total energy = -13.0 eV per cell


Density functional theory data (GGA-PBE) for LiTiSiO4 after structural relaxation.

```
28
Lattice="5.732 0.000 0.000 0.000 5.732 0.000 0.000 0.000 8.169" Properties=species:S:1:pos:R:3 pbc="T T T"
Li 0.000 1.267 0.000
Li 0.000 4.464 4.085
Li 1.267 0.000 2.042
Li 4.464 0.000 6.127
Ti 1.398 2.866 2.042
Ti 2.866 1.398 0.000
Ti 2.866 4.334 4.085
Ti 4.334 2.866 6.127
Si 1.423 1.423 5.106
Si 1.423 4.308 7.148
Si 4.308 1.423 3.063
Si 4.308 4.308 1.021
O 0.061 1.478 6.038
O 0.061 4.253 6.216
O 1.469 2.789 4.130
O 1.469 2.943 8.124
O 1.478 0.061 4.174
O 1.478 5.670 8.080
O 2.789 1.469 6.082
O 2.789 4.263 6.172
O 2.943 1.469 2.087
O 2.943 4.263 1.997
O 4.253 0.061 3.995
O 4.253 5.670 0.089
O 4.263 2.789 4.040
O 4.263 2.943 0.045
O 5.670 1.478 2.131
O 5.670 4.253 1.953
```

Properties
E_form = -3.05 eV per atom
MP2020-corrected energy = -8.0495 eV per atom
Spin magnetization = 0.143 μB/atom
Energy above the lowest structure with this stoichiometry = 0.012 eV per atom
DFT total energy = -214.4 eV per cell


Density functional theory data (GGA-PBE) for TbNi2P2 after structural relaxation.

```
5
Lattice="-1.940 1.940 4.699 1.940 -1.940 4.699 1.940 1.940 -4.699" Properties=species:S:1:pos:R:3 pbc="T T T"
Tb 0.000 0.000 0.000
Ni 1.940 0.000 2.350
Ni 0.000 1.940 2.350
P 0.000 0.000 3.540
P 0.000 0.000 5.858
```

Properties
E_form = -1.02 eV per atom
DFT total energy = -32.1 eV per cell